No. 1
A geometry-optimized Rb4Zr3Te16 structure. Source: the Materials Project database, functional PBE.

Structure (POSCAR):
```
Rb4Zr3Te16
1.0
-1.021 -9.570 -6.035
10.641 3.683 1.501
3.772 -9.882 11.541
Rb Zr Te
8 6 32
direct
0.549 0.251 0.932
0.749 0.451 0.568
0.451 0.749 0.068
0.251 0.549 0.432
0.029 0.753 0.875
0.247 0.971 0.625
0.971 0.247 0.125
0.753 0.029 0.375
0.568 0.792 0.729
0.208 0.432 0.771
0.432 0.208 0.271
0.792 0.568 0.229
0.892 0.108 0.750
0.108 0.892 0.250
0.752 0.847 0.869
0.153 0.248 0.631
0.248 0.153 0.131
0.847 0.752 0.369
0.802 0.094 0.940
0.906 0.198 0.560
0.198 0.906 0.060
0.094 0.802 0.440
0.083 0.155 0.872
0.845 0.917 0.628
0.917 0.845 0.128
0.155 0.083 0.372
0.352 0.266 0.744
0.734 0.648 0.756
0.648 0.734 0.256
0.266 0.352 0.244
0.625 0.078 0.715
0.922 0.375 0.785
0.375 0.922 0.285
0.078 0.625 0.215
0.407 0.881 0.838
0.119 0.593 0.662
0.593 0.119 0.162
0.881 0.407 0.338
0.424 0.548 0.873
0.452 0.576 0.627
0.576 0.452 0.127
0.548 0.424 0.373
0.172 0.527 0.937
0.473 0.828 0.563
0.828 0.473 0.063
0.527 0.172 0.437
```


No. 2
A geometry-optimized ThTa2O7 structure. Source: the Materials Project database, functional PBE.

Structure (POSCAR):
```
ThTa2O7
1.0
1.958 7.814 0.000
-1.958 7.814 0.000
0.000 0.860 8.375
Th Ta O
2 4 14
direct
0.312 0.312 0.667
0.688 0.688 0.333
0.108 0.108 0.020
0.892 0.892 0.980
0.071 0.071 0.633
0.929 0.929 0.367
0.013 0.013 0.859
0.987 0.987 0.141
0.056 0.056 0.392
0.944 0.944 0.608
0.392 0.392 0.936
0.608 0.608 0.064
0.586 0.586 0.611
0.414 0.414 0.389
0.805 0.805 0.498
0.195 0.195 0.502
0.804 0.804 0.832
0.196 0.196 0.168
0.832 0.832 0.192
0.168 0.168 0.808
```


No. 3
A geometry-optimized KSbO3 structure. Source: the Materials Project database, functional PBE.

Structure (POSCAR):
```
KSbO3
1.0
4.256 -4.989 -3.671
0.989 -6.894 2.824
-3.194 -5.924 -3.344
K Sb O
4 4 12
direct
0.625 0.125 0.625
0.625 0.625 0.125
0.125 0.625 0.625
0.625 0.625 0.625
0.125 0.625 0.125
0.125 0.125 0.625
0.625 0.125 0.125
0.125 0.125 0.125
0.446 0.446 0.054
0.196 0.196 0.804
0.054 0.446 0.054
0.054 0.446 0.446
0.446 0.054 0.054
0.446 0.054 0.446
0.196 0.804 0.196
0.804 0.196 0.804
0.054 0.054 0.446
0.804 0.196 0.196
0.196 0.804 0.804
0.804 0.804 0.196
```

Computed properties:
total magnetization: 0.001 μB per formula unit


No. 4
A geometry-optimized K2YHgCl6 structure. Source: the Materials Project database, functional PBE.

Structure (POSCAR):
```
K2YHgCl6
1.0
0.000 5.555 5.555
5.555 0.000 5.555
5.555 5.555 0.000
K Y Hg Cl
2 1 1 6
direct
0.750 0.750 0.750
0.250 0.250 0.250
0.000 0.000 0.000
0.500 0.500 0.500
0.763 0.237 0.237
0.237 0.237 0.763
0.237 0.763 0.763
0.237 0.763 0.237
0.763 0.237 0.763
0.763 0.763 0.237
```

Computed properties:
total magnetization: 0.872 μB per formula unit


| no. | E (eV/atom) |
| --- | --- |
| 1 | -4.189 |
| 2 | -9.742 |
| 3 | -5.613 |
| 4 | -3.676 |